Entry 1:
Material: MgFe3Ni2SbP6O24
Method: DFT, GGA+U
State: relaxed

Properties
Its space group is R3, No. 146. The value obtained for the relative energy among the computed polymorphs is 2.181 eV per formula unit.

The structure in CIF format:
```
data_MgFe3Ni2SbP6O24
_space_group_name_H-M_alt 'P 1'
_space_group_IT_number 1
_cell_length_a 8.797
_cell_length_b 8.797
_cell_length_c 8.797
_cell_angle_alpha 59.28
_cell_angle_beta 59.28
_cell_angle_gamma 59.28
loop_
_space_group_symop_operation_xyz
'x,y,z'
loop_
_atom_site_label
_atom_site_fract_x
_atom_site_fract_y
_atom_site_fract_z
Mg1 0.000 0.000 0.000
Fe1 0.118 0.118 0.118
Fe2 0.390 0.390 0.390
Fe3 0.594 0.594 0.594
Ni1 0.251 0.251 0.251
Ni2 0.728 0.728 0.728
Sb1 0.870 0.870 0.870
P1 0.209 0.490 0.782
P2 0.299 0.996 0.691
P3 0.490 0.782 0.209
P4 0.691 0.299 0.996
P5 0.782 0.209 0.490
P6 0.996 0.691 0.299
O1 0.044 0.859 0.251
O2 0.123 0.949 0.746
O3 0.157 0.498 0.312
O4 0.198 0.352 0.985
O5 0.251 0.044 0.859
O6 0.260 0.401 0.645
O7 0.312 0.157 0.498
O8 0.335 0.598 0.714
O9 0.352 0.985 0.198
O10 0.401 0.645 0.260
O11 0.487 0.830 0.671
O12 0.498 0.312 0.157
O13 0.598 0.714 0.335
O14 0.638 0.787 0.998
O15 0.645 0.260 0.401
O16 0.671 0.487 0.830
O17 0.714 0.335 0.598
O18 0.746 0.123 0.949
O19 0.787 0.998 0.638
O20 0.830 0.671 0.487
O21 0.859 0.251 0.044
O22 0.949 0.746 0.123
O23 0.985 0.198 0.352
O24 0.998 0.638 0.787
```


Entry 2:
Material: Mn7SnP12O48
Method: DFT, GGA+U
State: relaxed

Properties
Its space group is P1, No. 1.

The structure in CIF format:
```
data_Mn7SnP12O48
_space_group_name_H-M_alt 'P 1'
_space_group_IT_number 1
_cell_length_a 8.529
_cell_length_b 8.532
_cell_length_c 11.891
_cell_angle_alpha 89.99
_cell_angle_beta 89.95
_cell_angle_gamma 89.99
loop_
_space_group_symop_operation_xyz
'x,y,z'
loop_
_atom_site_label
_atom_site_fract_x
_atom_site_fract_y
_atom_site_fract_z
Mn1 0.000 0.000 0.000
Mn2 0.000 0.071 0.501
Mn3 0.000 0.571 0.766
Mn4 0.500 0.071 0.766
Mn5 0.500 0.571 0.502
Mn6 0.500 0.999 0.267
Mn7 0.999 0.501 0.267
Sn1 0.499 0.500 0.006
P1 0.135 0.646 0.030
P2 0.143 0.927 0.738
P3 0.214 0.785 0.384
P4 0.286 0.285 0.383
P5 0.353 0.425 0.733
P6 0.356 0.135 0.031
P7 0.642 0.927 0.529
P8 0.646 0.645 0.245
P9 0.716 0.791 0.882
P10 0.792 0.283 0.881
P11 0.857 0.144 0.239
P12 0.857 0.427 0.529
O1 0.064 0.524 0.112
O2 0.071 0.047 0.655
O3 0.085 0.814 0.060
O4 0.088 0.596 0.911
O5 0.092 0.973 0.857
O6 0.097 0.758 0.708
O7 0.103 0.876 0.464
O8 0.106 0.694 0.303
O9 0.172 0.437 0.719
O10 0.175 0.125 0.043
O11 0.190 0.177 0.460
O12 0.190 0.394 0.307
O13 0.310 0.676 0.460
O14 0.310 0.895 0.308
O15 0.315 0.644 0.045
O16 0.324 0.937 0.726
O17 0.396 0.193 0.303
O18 0.397 0.302 0.066
O19 0.397 0.377 0.463
O20 0.401 0.255 0.705
O21 0.405 0.475 0.850
O22 0.411 0.096 0.912
O23 0.426 0.546 0.652
O24 0.428 0.012 0.113
O25 0.570 0.049 0.611
O26 0.573 0.521 0.167
O27 0.590 0.974 0.411
O28 0.595 0.604 0.364
O29 0.595 0.759 0.561
O30 0.598 0.813 0.211
O31 0.608 0.705 0.965
O32 0.608 0.880 0.799
O33 0.676 0.133 0.225
O34 0.676 0.437 0.543
O35 0.692 0.176 0.806
O36 0.701 0.390 0.960
O37 0.811 0.678 0.807
O38 0.812 0.901 0.957
O39 0.824 0.937 0.542
O40 0.827 0.639 0.231
O41 0.901 0.374 0.799
O42 0.902 0.314 0.209
O43 0.903 0.192 0.961
O44 0.903 0.258 0.559
O45 0.910 0.097 0.357
O46 0.910 0.473 0.411
O47 0.927 0.024 0.155
O48 0.927 0.549 0.612
```


Entry 3:
Material: K10CoMo7O27
Method: DFT, GGA+U
State: relaxed

Properties
Its space group is Pmn2_1, No. 31.

The structure in CIF format:
```
data_K10CoMo7O27
_space_group_name_H-M_alt 'P 1'
_space_group_IT_number 1
_cell_length_a 18.629
_cell_length_b 8.033
_cell_length_c 10.756
_cell_angle_alpha 90.00
_cell_angle_beta 90.00
_cell_angle_gamma 90.00
loop_
_space_group_symop_operation_xyz
'x,y,z'
loop_
_atom_site_label
_atom_site_fract_x
_atom_site_fract_y
_atom_site_fract_z
K1 0.000 0.097 0.000
K2 0.000 0.379 0.351
K3 0.142 0.381 0.757
K4 0.154 0.734 0.115
K5 0.179 0.056 0.428
K6 0.183 0.259 0.100
K7 0.317 0.741 0.600
K8 0.321 0.944 0.928
K9 0.346 0.266 0.615
K10 0.358 0.619 0.257
K11 0.500 0.621 0.851
K12 0.500 0.903 0.500
K13 0.642 0.619 0.257
K14 0.654 0.266 0.615
K15 0.679 0.944 0.928
K16 0.683 0.741 0.600
K17 0.817 0.259 0.100
K18 0.821 0.056 0.428
K19 0.846 0.734 0.115
K20 0.858 0.381 0.757
Co1 0.000 0.717 0.609
Co2 0.500 0.283 0.109
Mo1 0.000 0.110 0.620
Mo2 0.000 0.559 0.936
Mo3 0.000 0.900 0.299
Mo4 0.154 0.907 0.773
Mo5 0.166 0.538 0.444
Mo6 0.334 0.462 0.944
Mo7 0.346 0.093 0.273
Mo8 0.500 0.100 0.799
Mo9 0.500 0.441 0.436
Mo10 0.500 0.890 0.120
Mo11 0.654 0.093 0.273
Mo12 0.666 0.462 0.944
Mo13 0.834 0.538 0.444
Mo14 0.846 0.907 0.773
O1 0.000 0.197 0.772
O2 0.000 0.568 0.767
O3 0.000 0.688 0.256
O4 0.000 0.767 0.994
O5 0.000 0.915 0.470
O6 0.069 0.897 0.682
O7 0.075 0.206 0.548
O8 0.078 0.003 0.236
O9 0.079 0.450 0.990
O10 0.082 0.594 0.522
O11 0.145 0.027 0.913
O12 0.146 0.404 0.315
O13 0.181 0.705 0.814
O14 0.210 0.720 0.387
O15 0.223 0.997 0.679
O16 0.225 0.438 0.552
O17 0.275 0.562 0.052
O18 0.277 0.003 0.179
O19 0.290 0.280 0.887
O20 0.319 0.295 0.314
O21 0.354 0.596 0.815
O22 0.355 0.973 0.413
O23 0.418 0.406 0.022
O24 0.421 0.550 0.490
O25 0.422 0.997 0.736
O26 0.425 0.794 0.048
O27 0.431 0.103 0.182
O28 0.500 0.085 0.970
O29 0.500 0.233 0.494
O30 0.500 0.312 0.756
O31 0.500 0.432 0.267
O32 0.500 0.803 0.272
O33 0.569 0.103 0.182
O34 0.575 0.794 0.048
O35 0.578 0.997 0.736
O36 0.579 0.550 0.490
O37 0.582 0.406 0.022
O38 0.645 0.973 0.413
O39 0.646 0.596 0.815
O40 0.681 0.295 0.314
O41 0.710 0.280 0.887
O42 0.723 0.003 0.179
O43 0.725 0.562 0.052
O44 0.775 0.438 0.552
O45 0.777 0.997 0.679
O46 0.790 0.720 0.387
O47 0.819 0.705 0.814
O48 0.854 0.404 0.315
O49 0.855 0.027 0.913
O50 0.918 0.594 0.522
O51 0.921 0.450 0.990
O52 0.922 0.003 0.236
O53 0.925 0.206 0.548
O54 0.931 0.897 0.682
```


Entry 4:
Material: Li2VP5O15
Method: DFT, GGA+U
State: relaxed

Properties
Its space group is P2_1/m, No. 11. The value obtained for the relative energy among the computed polymorphs is 0.000 eV per formula unit.

The structure in CIF format:
```
data_Li2VP5O15
_space_group_name_H-M_alt 'P 1'
_space_group_IT_number 1
_cell_length_a 5.179
_cell_length_b 13.462
_cell_length_c 8.841
_cell_angle_alpha 90.00
_cell_angle_beta 101.77
_cell_angle_gamma 90.00
loop_
_space_group_symop_operation_xyz
'x,y,z'
loop_
_atom_site_label
_atom_site_fract_x
_atom_site_fract_y
_atom_site_fract_z
Li1 0.061 0.116 0.098
Li2 0.061 0.384 0.098
Li3 0.939 0.616 0.902
Li4 0.939 0.884 0.902
V1 0.500 0.000 0.500
V2 0.500 0.500 0.500
P1 0.000 0.141 0.516
P2 0.000 0.359 0.516
P3 0.000 0.641 0.484
P4 0.000 0.859 0.484
P5 0.341 0.077 0.816
P6 0.341 0.423 0.816
P7 0.456 0.750 0.986
P8 0.544 0.250 0.014
P9 0.659 0.577 0.184
P10 0.659 0.923 0.184
O1 0.052 0.250 0.459
O2 0.140 0.145 0.694
O3 0.140 0.355 0.694
O4 0.144 0.073 0.425
O5 0.144 0.427 0.425
O6 0.192 0.032 0.926
O7 0.192 0.468 0.926
O8 0.193 0.750 0.878
O9 0.287 0.250 0.067
O10 0.293 0.627 0.496
O11 0.293 0.873 0.496
O12 0.446 0.657 0.104
O13 0.446 0.843 0.104
O14 0.490 0.010 0.725
O15 0.490 0.490 0.725
O16 0.510 0.510 0.275
O17 0.510 0.990 0.275
O18 0.554 0.157 0.896
O19 0.554 0.343 0.896
O20 0.707 0.127 0.504
O21 0.707 0.373 0.504
O22 0.713 0.750 0.933
O23 0.807 0.250 0.122
O24 0.808 0.532 0.074
O25 0.808 0.968 0.074
O26 0.856 0.573 0.575
O27 0.856 0.927 0.575
O28 0.860 0.645 0.306
O29 0.860 0.855 0.306
O30 0.948 0.750 0.541
```


Entry 5:
Material: VCdO3
Method: DFT, GGA+U
State: relaxed

Properties
Its space group is Pnma, No. 62.

The structure in CIF format:
```
data_VCdO3
_space_group_name_H-M_alt 'P 1'
_space_group_IT_number 1
_cell_length_a 5.403
_cell_length_b 7.603
_cell_length_c 5.322
_cell_angle_alpha 90.00
_cell_angle_beta 90.00
_cell_angle_gamma 90.00
loop_
_space_group_symop_operation_xyz
'x,y,z'
loop_
_atom_site_label
_atom_site_fract_x
_atom_site_fract_y
_atom_site_fract_z
V1 0.000 0.000 0.000
V2 0.000 0.500 0.000
V3 0.500 0.000 0.500
V4 0.500 0.500 0.500
Cd1 0.035 0.250 0.491
Cd2 0.465 0.750 0.991
Cd3 0.535 0.250 0.009
Cd4 0.965 0.750 0.509
O1 0.021 0.750 0.087
O2 0.211 0.544 0.707
O3 0.211 0.956 0.707
O4 0.289 0.044 0.207
O5 0.289 0.456 0.207
O6 0.479 0.250 0.587
O7 0.521 0.750 0.413
O8 0.711 0.544 0.793
O9 0.711 0.956 0.793
O10 0.789 0.044 0.293
O11 0.789 0.456 0.293
O12 0.979 0.250 0.913
```


Entry 6:
Material: SrCa7Mn7CrO23
Method: DFT, GGA+U
State: relaxed

Properties
Its space group is Cm, No. 8. The value obtained for the relative energy among the computed polymorphs is 1.722 eV per formula unit.

The structure in CIF format:
```
data_SrCa7Mn7CrO23
_space_group_name_H-M_alt 'P 1'
_space_group_IT_number 1
_cell_length_a 7.648
_cell_length_b 7.648
_cell_length_c 7.707
_cell_angle_alpha 90.04
_cell_angle_beta 90.04
_cell_angle_gamma 89.99
loop_
_space_group_symop_operation_xyz
'x,y,z'
loop_
_atom_site_label
_atom_site_fract_x
_atom_site_fract_y
_atom_site_fract_z
Sr1 0.000 0.000 0.000
Ca1 0.004 0.486 0.998
Ca2 0.010 0.010 0.509
Ca3 0.010 0.480 0.510
Ca4 0.478 0.478 0.510
Ca5 0.480 0.010 0.510
Ca6 0.486 0.004 0.998
Ca7 0.486 0.486 0.998
Mn1 0.244 0.244 0.753
Mn2 0.245 0.245 0.251
Mn3 0.245 0.743 0.754
Mn4 0.246 0.743 0.249
Mn5 0.743 0.245 0.754
Mn6 0.743 0.246 0.249
Mn7 0.743 0.743 0.745
Cr1 0.742 0.742 0.264
O1 0.242 0.740 0.001
O2 0.245 0.245 0.502
O3 0.245 0.493 0.744
O4 0.245 0.494 0.257
O5 0.247 0.247 0.001
O6 0.247 0.742 0.500
O7 0.247 0.993 0.259
O8 0.247 0.994 0.742
O9 0.493 0.245 0.744
O10 0.494 0.245 0.257
O11 0.497 0.743 0.779
O12 0.504 0.743 0.215
O13 0.739 0.739 0.492
O14 0.739 0.991 0.768
O15 0.740 0.242 0.001
O16 0.741 0.982 0.224
O17 0.742 0.247 0.500
O18 0.743 0.497 0.779
O19 0.743 0.504 0.215
O20 0.982 0.741 0.224
O21 0.991 0.739 0.768
O22 0.993 0.247 0.259
O23 0.994 0.247 0.742
```


Entry 7:
Material: Mn3Ag4O8
Method: DFT, GGA+U
State: relaxed

Properties
Its space group is R32, No. 155. The value obtained for the relative energy among the computed polymorphs is 0.030 eV per formula unit.

The structure in CIF format:
```
data_Mn3Ag4O8
_space_group_name_H-M_alt 'P 1'
_space_group_IT_number 1
_cell_length_a 9.075
_cell_length_b 9.075
_cell_length_c 9.075
_cell_angle_alpha 90.53
_cell_angle_beta 90.53
_cell_angle_gamma 90.53
loop_
_space_group_symop_operation_xyz
'x,y,z'
loop_
_atom_site_label
_atom_site_fract_x
_atom_site_fract_y
_atom_site_fract_z
Mn1 0.000 0.539 0.461
Mn2 0.040 0.290 0.249
Mn3 0.208 0.792 0.500
Mn4 0.249 0.040 0.290
Mn5 0.290 0.249 0.040
Mn6 0.461 0.000 0.539
Mn7 0.500 0.208 0.792
Mn8 0.539 0.461 0.000
Mn9 0.710 0.960 0.751
Mn10 0.751 0.710 0.960
Mn11 0.792 0.500 0.208
Mn12 0.960 0.751 0.710
Ag1 0.000 0.000 0.000
Ag2 0.106 0.115 0.712
Ag3 0.115 0.712 0.106
Ag4 0.164 0.500 0.836
Ag5 0.286 0.365 0.556
Ag6 0.288 0.885 0.894
Ag7 0.365 0.556 0.286
Ag8 0.444 0.635 0.714
Ag9 0.500 0.836 0.164
Ag10 0.556 0.286 0.365
Ag11 0.635 0.714 0.444
Ag12 0.712 0.106 0.115
Ag13 0.714 0.444 0.635
Ag14 0.836 0.164 0.500
Ag15 0.885 0.894 0.288
Ag16 0.894 0.288 0.885
O1 0.009 0.510 0.242
O2 0.025 0.328 0.459
O3 0.042 0.081 0.277
O4 0.081 0.277 0.042
O5 0.171 0.776 0.708
O6 0.207 0.581 0.471
O7 0.224 0.829 0.292
O8 0.242 0.009 0.510
O9 0.260 0.260 0.260
O10 0.277 0.042 0.081
O11 0.292 0.224 0.829
O12 0.328 0.459 0.025
O13 0.419 0.793 0.529
O14 0.459 0.025 0.328
O15 0.471 0.207 0.581
O16 0.490 0.991 0.758
O17 0.510 0.242 0.009
O18 0.529 0.419 0.793
O19 0.541 0.672 0.975
O20 0.581 0.471 0.207
O21 0.672 0.975 0.541
O22 0.708 0.171 0.776
O23 0.723 0.919 0.958
O24 0.740 0.740 0.740
O25 0.758 0.490 0.991
O26 0.776 0.708 0.171
O27 0.793 0.529 0.419
O28 0.829 0.292 0.224
O29 0.919 0.958 0.723
O30 0.958 0.723 0.919
O31 0.975 0.541 0.672
O32 0.991 0.758 0.490
```


Entry 8:
Material: Li3FeF6
Method: DFT, GGA+U
State: relaxed

Properties
Its space group is P-31c, No. 163. The value obtained for the relative energy among the computed polymorphs is 0.283 eV per formula unit.

The structure in CIF format:
```
data_Li3FeF6
_space_group_name_H-M_alt 'P 1'
_space_group_IT_number 1
_cell_length_a 5.127
_cell_length_b 5.127
_cell_length_c 9.650
_cell_angle_alpha 90.00
_cell_angle_beta 90.00
_cell_angle_gamma 120.00
loop_
_space_group_symop_operation_xyz
'x,y,z'
loop_
_atom_site_label
_atom_site_fract_x
_atom_site_fract_y
_atom_site_fract_z
Li1 0.000 0.000 0.250
Li2 0.000 0.000 0.750
Li3 0.333 0.667 0.054
Li4 0.333 0.667 0.446
Li5 0.667 0.333 0.554
Li6 0.667 0.333 0.946
Fe1 0.333 0.667 0.750
Fe2 0.667 0.333 0.250
F1 0.028 0.355 0.632
F2 0.028 0.673 0.868
F3 0.327 0.355 0.868
F4 0.327 0.972 0.632
F5 0.355 0.028 0.132
F6 0.355 0.327 0.368
F7 0.645 0.673 0.632
F8 0.645 0.972 0.868
F9 0.673 0.028 0.368
F10 0.673 0.645 0.132
F11 0.972 0.327 0.132
F12 0.972 0.645 0.368
```


Calculated values (eV/atom) of energy of formation for the records, taken in order: -2.236 -2.215 -2.116 -2.647 -2.009 -2.463 -1.227 -2.955.